1.
The following is a DFT calculation (PBE-GGA) of Mn3Ir after structural relaxation.

Results
- symmetry = P6_3/mmc (194)

a = 5.174 Å, b = 5.174 Å, c = 4.051 Å
α = 90.00°, β = 90.00°, γ = 120.00°
Atoms (fractional coordinates):
Mn 0.157 0.313 0.250
Mn 0.157 0.843 0.250
Mn 0.843 0.157 0.750
Mn 0.687 0.843 0.250
Mn 0.843 0.687 0.750
Mn 0.313 0.157 0.750
Ir 0.333 0.667 0.750
Ir 0.667 0.333 0.250



2.
The following is a DFT calculation (PBE-GGA) of MnIr after structural relaxation.

Results
- symmetry = R-3m (166)

a = 4.507 Å, b = 4.507 Å, c = 4.507 Å
α = 34.18°, β = 34.18°, γ = 34.18°
Atoms (fractional coordinates):
Ir 0.000 0.000 0.000
Mn 0.500 0.500 0.500



3.
The following is a DFT calculation (PBE-GGA) of MnIr after structural relaxation.

Results
- symmetry = P4/mmm (123)

a = 2.663 Å, b = 2.663 Å, c = 3.664 Å
α = 90.00°, β = 90.00°, γ = 90.00°
Atoms (fractional coordinates):
Ir 0.000 0.000 0.000
Mn 0.500 0.500 0.500



4.
The following is a DFT calculation (PBE-GGA) of MnIr3 after structural relaxation.

Results
- symmetry = P6_3/mmc (194)

a = 5.452 Å, b = 5.452 Å, c = 4.333 Å
α = 90.00°, β = 90.00°, γ = 120.00°
Atoms (fractional coordinates):
Ir 0.338 0.169 0.750
Ir 0.831 0.662 0.750
Ir 0.831 0.169 0.750
Ir 0.169 0.831 0.250
Ir 0.662 0.831 0.250
Ir 0.169 0.338 0.250
Mn 0.333 0.667 0.750
Mn 0.667 0.333 0.250



Computed energy of formation, in the same sequence as the records: -0.15, -0.05, -0.16, -0.16 eV/atom.